Record 1
Here is crystalline YBi3 at its relaxed geometry from the Materials Project. Energies are from PBE.

a = 6.826 Å, b = 6.826 Å, c = 6.078 Å
α = 90.00°, β = 90.00°, γ = 120.00°
Fractional coordinates of all 8 atoms:
Y 0.667 0.333 0.250
Bi 0.828 0.172 0.750
Bi 0.828 0.656 0.750
Bi 0.656 0.828 0.250
Bi 0.172 0.828 0.250
Bi 0.172 0.344 0.250
Y 0.333 0.667 0.750
Bi 0.344 0.172 0.750

## Properties
The value obtained for the formation energy is -0.35 eV/atom. As for the space group: P6_3/mmc. Its total energy is -4.881 eV per atom.

=====

Record 2
Here is crystalline Y3Bi at its relaxed geometry from the Materials Project. Energies are from PBE.

a = 7.006 Å, b = 7.006 Å, c = 5.605 Å
α = 90.00°, β = 90.00°, γ = 120.00°
Fractional coordinates of all 8 atoms:
Y 0.168 0.832 0.250
Y 0.832 0.665 0.750
Y 0.335 0.168 0.750
Bi 0.333 0.667 0.750
Y 0.832 0.168 0.750
Y 0.168 0.335 0.250
Bi 0.667 0.333 0.250
Y 0.665 0.832 0.250

## Properties
The value obtained for the formation energy is -0.33 eV/atom. As for the space group: P6_3/mmc. Its total energy is -6.150 eV per atom.

=====

Record 3
Here is crystalline Y3Bi at its relaxed geometry from the Materials Project. Energies are from PBE.

a = 4.893 Å, b = 4.893 Å, c = 4.893 Å
α = 90.00°, β = 90.00°, γ = 90.00°
Fractional coordinates of all 4 atoms:
Y 0.500 0.500 0.000
Y 0.500 0.000 0.500
Y 0.000 0.500 0.500
Bi 0.000 0.000 0.000

## Properties
The value obtained for the formation energy is -0.34 eV/atom. As for the space group: Pm-3m. Its total energy is -6.158 eV per atom.

=====

Record 4
Here is crystalline YBi3 at its relaxed geometry from the Materials Project. Energies are from PBE.

a = 6.441 Å, b = 6.441 Å, c = 6.441 Å
α = 137.35°, β = 137.35°, γ = 61.90°
Fractional coordinates of all 4 atoms:
Bi 0.250 0.750 0.500
Y 0.000 0.000 0.000
Bi 0.750 0.250 0.500
Bi 0.500 0.500 0.000

## Properties
The value obtained for the formation energy is -0.35 eV/atom. As for the space group: I4/mmm. Its total energy is -4.883 eV per atom.

=====

Record 5
Here is crystalline ZrBi2 at its relaxed geometry from the Materials Project. Energies are from PBE.

a = 4.061 Å, b = 10.413 Å, c = 15.692 Å
α = 90.00°, β = 90.00°, γ = 90.00°
Fractional coordinates of all 24 atoms:
Bi 0.500 0.765 0.800
Bi 0.000 0.877 0.943
Bi 0.000 0.654 0.650
Zr 0.500 0.663 0.994
Zr 0.000 0.837 0.494
Bi 0.000 0.487 0.894
Bi 0.000 0.123 0.057
Zr 0.500 0.477 0.749
Bi 0.500 0.377 0.557
Zr 0.000 0.163 0.506
Bi 0.000 0.513 0.106
Zr 0.500 0.523 0.251
Bi 0.000 0.735 0.300
Bi 0.500 0.235 0.200
Zr 0.000 0.023 0.249
Bi 0.500 0.623 0.443
Bi 0.500 0.987 0.606
Zr 0.000 0.977 0.751
Bi 0.000 0.265 0.700
Zr 0.500 0.337 0.006
Bi 0.500 0.154 0.850
Bi 0.000 0.346 0.350
Bi 0.500 0.013 0.394
Bi 0.500 0.846 0.150

## Properties
The value obtained for the formation energy is -0.27 eV/atom. As for the space group: Pnnm. Its total energy is -5.718 eV per atom.

=====

Record 6
Here is crystalline Zr8Bi13 at its relaxed geometry from the Materials Project. Energies are from PBE.

a = 7.034 Å, b = 7.034 Å, c = 45.678 Å
α = 90.00°, β = 90.00°, γ = 90.00°
Fractional coordinates of all 84 atoms:
Bi 0.157 0.700 0.212
Bi 0.345 0.714 0.134
Zr 0.500 0.500 0.311
Zr 0.500 0.000 0.592
Bi 0.300 0.157 0.788
Zr 0.000 0.000 0.500
Bi 0.757 0.845 0.173
Zr 0.500 0.500 0.435
Bi 0.845 0.757 0.327
Bi 0.228 0.655 0.980
Zr 0.000 0.500 0.533
Bi 0.177 0.665 0.596
Bi 0.243 0.845 0.673
Bi 0.155 0.757 0.827
Bi 0.655 0.228 0.520
Zr 0.000 0.000 0.378
Zr 0.000 0.000 0.250
Zr 0.000 0.000 0.122
Bi 0.286 0.345 0.866
Zr 0.000 0.000 0.750
Bi 0.345 0.228 0.020
Zr 0.500 0.500 0.689
Bi 0.772 0.345 0.980
Zr 0.500 0.500 0.065
Zr 0.500 0.000 0.092
Zr 0.000 0.500 0.278
Bi 0.655 0.714 0.634
Zr 0.500 0.000 0.344
Bi 0.665 0.177 0.904
Bi 0.714 0.345 0.366
Bi 0.335 0.823 0.904
Zr 0.000 0.500 0.033
Zr 0.000 0.000 0.878
Bi 0.155 0.243 0.327
Bi 0.700 0.157 0.288
Bi 0.714 0.655 0.866
Bi 0.757 0.155 0.673
Zr 0.500 0.500 0.811
Bi 0.243 0.155 0.173
Bi 0.823 0.335 0.596
Bi 0.670 0.670 0.250
Zr 0.500 0.500 0.565
Bi 0.160 0.187 0.942
Zr 0.500 0.000 0.844
Bi 0.845 0.243 0.827
Bi 0.772 0.655 0.480
Bi 0.840 0.813 0.942
Bi 0.228 0.345 0.480
Bi 0.670 0.330 0.750
Zr 0.000 0.500 0.908
Zr 0.500 0.000 0.967
Bi 0.187 0.160 0.558
Bi 0.345 0.772 0.520
Bi 0.655 0.286 0.134
Bi 0.840 0.187 0.442
Bi 0.655 0.772 0.020
Zr 0.000 0.500 0.156
Bi 0.330 0.670 0.750
Bi 0.843 0.300 0.212
Bi 0.700 0.843 0.788
Bi 0.345 0.286 0.634
Bi 0.813 0.840 0.558
Zr 0.500 0.000 0.222
Zr 0.000 0.000 0.622
Bi 0.157 0.300 0.712
Zr 0.000 0.500 0.778
Zr 0.500 0.500 0.189
Bi 0.813 0.160 0.058
Zr 0.500 0.000 0.467
Bi 0.330 0.330 0.250
Bi 0.286 0.655 0.366
Zr 0.000 0.500 0.656
Bi 0.300 0.843 0.288
Zr 0.500 0.000 0.722
Bi 0.823 0.665 0.096
Bi 0.665 0.823 0.404
Bi 0.335 0.177 0.404
Bi 0.160 0.813 0.442
Bi 0.187 0.840 0.058
Zr 0.000 0.500 0.408
Bi 0.177 0.335 0.096
Bi 0.843 0.700 0.712
Zr 0.500 0.500 0.935
Zr 0.000 0.000 0.000

## Properties
The value obtained for the formation energy is -0.30 eV/atom. As for the space group: P-4c2. Its total energy is -5.968 eV per atom.

=====

Record 7
Here is crystalline CaH24C6Br2N12O6 at its relaxed geometry from the Materials Project. Energies are from PBE.

a = 10.332 Å, b = 8.133 Å, c = 13.736 Å
α = 90.00°, β = 94.61°, γ = 90.00°
Fractional coordinates of all 102 atoms:
H 0.703 0.463 0.748
H 0.785 0.655 0.165
C 0.829 0.637 0.958
Ca 0.000 0.000 0.000
N 0.239 0.528 0.309
O 0.069 0.279 0.019
N 0.865 0.615 0.206
H 0.293 0.334 0.563
N 0.598 0.356 0.590
C 0.720 0.084 0.102
O 0.047 0.956 0.168
Ca 0.000 0.500 0.500
C 0.280 0.916 0.898
N 0.168 0.529 0.046
C 0.145 0.004 0.223
N 0.761 0.028 0.191
N 0.713 0.790 0.435
C 0.171 0.363 0.042
H 0.703 0.037 0.248
O 0.931 0.779 0.481
H 0.253 0.909 0.558
H 0.722 0.356 0.338
H 0.368 0.140 0.581
H 0.722 0.144 0.838
C 0.171 0.137 0.542
N 0.402 0.644 0.410
H 0.952 0.668 0.196
C 0.720 0.416 0.602
H 0.145 0.489 0.298
H 0.086 0.909 0.521
H 0.707 0.666 0.437
H 0.297 0.963 0.752
H 0.952 0.832 0.696
N 0.265 0.945 0.211
H 0.632 0.860 0.419
O 0.953 0.044 0.832
H 0.855 0.511 0.702
N 0.735 0.445 0.289
C 0.280 0.584 0.398
H 0.048 0.332 0.804
H 0.656 0.018 0.744
H 0.566 0.305 0.525
N 0.865 0.885 0.706
N 0.402 0.856 0.910
H 0.297 0.537 0.252
H 0.278 0.856 0.162
O 0.047 0.544 0.668
N 0.598 0.144 0.090
H 0.086 0.591 0.021
H 0.707 0.834 0.937
N 0.135 0.115 0.294
H 0.747 0.091 0.442
O 0.953 0.456 0.332
H 0.434 0.695 0.475
C 0.145 0.496 0.723
H 0.253 0.591 0.058
N 0.168 0.971 0.546
H 0.048 0.168 0.304
H 0.434 0.805 0.975
H 0.632 0.640 0.919
N 0.265 0.555 0.711
N 0.832 0.471 0.954
Br 0.517 0.136 0.354
Br 0.483 0.864 0.646
H 0.656 0.482 0.244
N 0.735 0.055 0.789
H 0.747 0.409 0.942
H 0.455 0.845 0.851
N 0.761 0.472 0.691
H 0.344 0.518 0.756
H 0.344 0.982 0.256
Br 0.517 0.364 0.854
H 0.215 0.155 0.335
O 0.931 0.721 0.981
H 0.455 0.655 0.351
O 0.210 0.923 0.970
H 0.368 0.360 0.081
N 0.287 0.290 0.065
H 0.785 0.845 0.665
N 0.713 0.710 0.935
H 0.914 0.409 0.979
H 0.293 0.166 0.063
H 0.545 0.155 0.149
H 0.215 0.345 0.835
H 0.855 0.989 0.202
N 0.287 0.210 0.565
H 0.566 0.195 0.025
N 0.239 0.972 0.809
C 0.855 0.996 0.777
H 0.145 0.011 0.798
C 0.829 0.863 0.458
N 0.832 0.029 0.454
Br 0.483 0.636 0.146
O 0.790 0.077 0.030
O 0.210 0.577 0.470
H 0.545 0.345 0.649
H 0.278 0.644 0.662
C 0.855 0.504 0.277
H 0.914 0.091 0.479
N 0.135 0.385 0.794
O 0.790 0.423 0.530
O 0.069 0.221 0.519

## Properties
The value obtained for the formation energy is -0.72 eV/atom. As for the space group: P2_1/c. Its total energy is -5.967 eV per atom.

=====

Record 8
Here is crystalline CaH24C6Br2O6 at its relaxed geometry from the Materials Project. Energies are from PBE.

a = 7.295 Å, b = 8.606 Å, c = 8.606 Å
α = 120.00°, β = 90.00°, γ = 90.00°
Fractional coordinates of all 39 atoms:
O 0.320 0.017 0.237
H 0.094 0.394 0.082
H 0.906 0.312 0.394
H 0.692 0.194 0.707
H 0.810 0.096 0.325
H 0.323 0.637 0.754
H 0.906 0.606 0.918
O 0.680 0.237 0.220
C 0.222 0.870 0.236
H 0.677 0.883 0.637
O 0.680 0.780 0.017
H 0.190 0.325 0.229
H 0.810 0.229 0.904
C 0.222 0.764 0.634
H 0.190 0.904 0.675
H 0.692 0.293 0.486
Br 0.717 0.667 0.333
H 0.692 0.514 0.806
O 0.320 0.220 0.983
C 0.778 0.634 0.870
H 0.094 0.688 0.606
O 0.320 0.763 0.780
H 0.906 0.082 0.688
H 0.094 0.918 0.312
H 0.323 0.246 0.883
Br 0.283 0.333 0.667
H 0.677 0.754 0.117
H 0.810 0.675 0.771
O 0.680 0.983 0.763
C 0.222 0.366 0.130
Ca 0.500 0.000 0.000
H 0.308 0.486 0.194
H 0.308 0.806 0.293
H 0.677 0.363 0.246
H 0.323 0.117 0.363
C 0.778 0.130 0.764
H 0.308 0.707 0.514
C 0.778 0.236 0.366
H 0.190 0.771 0.096

## Properties
The value obtained for the formation energy is -0.72 eV/atom. As for the space group: P-3. Its total energy is -5.020 eV per atom.